Record 1
# WBr2 | the Materials Project database | PBE | relaxed
# Calculated volume   2354.58 Å³ per cell
# Raw total energy   -425.1 eV/cell
data_WBr2
_chemical_formula_sum 'W24 Br48'
_space_group_name_H-M_alt 'C m c e'
_space_group_IT_number 64
_space_group_name_Hall '-C 2ac 2'
_cell_length_a 16.029
_cell_length_b 12.118
_cell_length_c 12.122
_cell_angle_alpha 90.00
_cell_angle_beta 90.00
_cell_angle_gamma 90.00
loop_
_atom_site_label
_atom_site_type_symbol
_atom_site_fract_x
_atom_site_fract_y
_atom_site_fract_z
W1 W 0.000 0.070 0.138
W2 W 0.000 0.138 0.930
W3 W 0.117 0.000 0.000
Br1 Br 0.000 0.156 0.344
Br2 Br 0.116 0.069 0.792
Br3 Br 0.116 0.208 0.069
Br4 Br 0.222 0.000 0.500



Record 2
# Nd26Ga7Co10 | the Materials Project database | PBE | relaxed
# Spin magnetization   0.11 μB/f.u.
# Calculated volume   2203.73 Å³ per cell
# Raw total energy   -453.3 eV/cell
data_Nd26Ga7Co10
_chemical_formula_sum 'Nd52 Ga14 Co20'
_space_group_name_H-M_alt 'P 4/m b m'
_space_group_IT_number 127
_space_group_name_Hall '-P 4 2ab'
_cell_length_a 11.951
_cell_length_b 11.951
_cell_length_c 15.430
_cell_angle_alpha 90.00
_cell_angle_beta 90.00
_cell_angle_gamma 90.00
loop_
_atom_site_label
_atom_site_type_symbol
_atom_site_fract_x
_atom_site_fract_y
_atom_site_fract_z
Nd1 Nd 0.000 0.500 0.115
Nd2 Nd 0.000 0.500 0.343
Nd3 Nd 0.074 0.206 0.382
Nd4 Nd 0.081 0.794 0.187
Nd5 Nd 0.086 0.204 0.000
Nd6 Nd 0.159 0.659 0.500
Ga1 Ga 0.000 0.000 0.500
Ga2 Ga 0.152 0.652 0.000
Ga3 Ga 0.162 0.338 0.207
Co1 Co 0.000 0.000 0.092
Co2 Co 0.000 0.000 0.272
Co3 Co 0.092 0.408 0.500
Co4 Co 0.195 0.695 0.320



Record 3
# AgSbTe6S16O6F30 | the Materials Project database | PBE | relaxed
# Spin magnetization   0.00 μB/f.u.
# Calculated volume   1252.75 Å³ per cell
# Raw total energy   -258.5 eV/cell
data_AgSbTe6S16O6F30
_chemical_formula_sum 'Ag1 Sb1 Te6 S16 O6 F30'
_space_group_name_H-M_alt 'P -1'
_space_group_IT_number 2
_cell_length_a 10.821
_cell_length_b 11.082
_cell_length_c 11.210
_cell_angle_alpha 80.91
_cell_angle_beta 83.89
_cell_angle_gamma 70.99
loop_
_space_group_symop_operation_xyz
'x,y,z'
'-x,-y,-z'
loop_
_atom_site_label
_atom_site_type_symbol
_atom_site_fract_x
_atom_site_fract_y
_atom_site_fract_z
Ag1 Ag 0.000 0.000 0.000
Sb1 Sb 0.500 0.500 0.500
Te1 Te 0.262 0.823 0.471
Te2 Te 0.267 0.347 0.435
Te3 Te 0.413 0.430 0.820
S1 S 0.007 0.276 0.791
S2 S 0.021 0.331 0.079
S3 S 0.089 0.707 0.042
S4 S 0.099 0.080 0.787
S5 S 0.122 0.160 0.174
S6 S 0.297 0.027 0.818
S7 S 0.311 0.094 0.100
S8 S 0.316 0.953 0.997
O1 O 0.354 0.653 0.437
O2 O 0.390 0.485 0.653
O3 O 0.424 0.389 0.425
F1 F 0.109 0.780 0.518
F2 F 0.117 0.298 0.440
F3 F 0.163 0.495 0.502
F4 F 0.165 0.993 0.492
F5 F 0.212 0.863 0.310
F6 F 0.225 0.432 0.279
F7 F 0.240 0.428 0.839
F8 F 0.295 0.255 0.592
F9 F 0.303 0.796 0.633
F10 F 0.356 0.601 0.855
F11 F 0.361 0.196 0.367
F12 F 0.407 0.881 0.425
F13 F 0.412 0.573 0.184
F14 F 0.423 0.378 0.988
F15 F 0.471 0.255 0.801



Record 4
# Na10Ca4Y4Si3S9O48 | the Materials Project database | PBE | relaxed
# Spin magnetization   0.00 μB/f.u.
# Calculated volume   3607.82 Å³ per cell
# Raw total energy   -1531.6 eV/cell
data_Na10Ca4Y4Si3S9O48
_chemical_formula_sum 'Na30 Ca12 Y12 Si9 S27 O144'
_space_group_name_H-M_alt 'P 1'
_space_group_IT_number 1
_cell_length_a 9.350
_cell_length_b 16.222
_cell_length_c 23.787
_cell_angle_alpha 90.34
_cell_angle_beta 90.09
_cell_angle_gamma 90.18
loop_
_space_group_symop_operation_xyz
'x,y,z'
loop_
_atom_site_label
_atom_site_type_symbol
_atom_site_fract_x
_atom_site_fract_y
_atom_site_fract_z
Na1 Na 0.000 0.000 0.000
Na2 Na 0.000 0.667 0.332
Na3 Na 0.020 0.961 0.659
Na4 Na 0.024 0.632 0.993
Na5 Na 0.029 0.291 0.984
Na6 Na 0.030 0.959 0.309
Na7 Na 0.033 0.629 0.642
Na8 Na 0.153 0.482 0.574
Na9 Na 0.154 0.139 0.904
Na10 Na 0.175 0.821 0.241
Na11 Na 0.206 0.146 0.407
Na12 Na 0.209 0.476 0.081
Na13 Na 0.213 0.819 0.739
Na14 Na 0.338 0.627 0.145
Na15 Na 0.344 0.290 0.481
Na16 Na 0.367 0.001 0.497
Na17 Na 0.499 0.497 0.002
Na18 Na 0.521 0.128 0.994
Na19 Na 0.521 0.461 0.659
Na20 Na 0.534 0.129 0.641
Na21 Na 0.642 0.653 0.908
Na22 Na 0.652 0.983 0.571
Na23 Na 0.663 0.329 0.237
Na24 Na 0.691 0.651 0.402
Na25 Na 0.694 0.975 0.079
Na26 Na 0.713 0.318 0.738
Na27 Na 0.830 0.126 0.146
Na28 Na 0.834 0.793 0.472
Na29 Na 0.862 0.501 0.497
Na30 Na 0.868 0.832 0.169
Ca1 Ca 0.172 0.468 0.721
Ca2 Ca 0.180 0.136 0.059
Ca3 Ca 0.185 0.802 0.388
Ca4 Ca 0.186 0.138 0.556
Ca5 Ca 0.191 0.466 0.220
Ca6 Ca 0.195 0.801 0.886
Ca7 Ca 0.672 0.638 0.055
Ca8 Ca 0.672 0.968 0.721
Ca9 Ca 0.680 0.299 0.386
Ca10 Ca 0.683 0.970 0.225
Ca11 Ca 0.686 0.639 0.555
Ca12 Ca 0.690 0.302 0.885
Y1 Y 0.186 0.479 0.421
Y2 Y 0.187 0.135 0.250
Y3 Y 0.188 0.134 0.754
Y4 Y 0.188 0.478 0.916
Y5 Y 0.193 0.801 0.585
Y6 Y 0.193 0.807 0.086
Y7 Y 0.681 0.634 0.254
Y8 Y 0.682 0.309 0.089
Y9 Y 0.686 0.972 0.918
Y10 Y 0.687 0.975 0.417
Y11 Y 0.688 0.634 0.754
Y12 Y 0.694 0.300 0.584
Si1 Si 0.028 0.983 0.152
Si2 Si 0.029 0.652 0.487
Si3 Si 0.333 0.985 0.650
Si4 Si 0.334 0.652 0.988
Si5 Si 0.530 0.485 0.150
Si6 Si 0.531 0.153 0.489
Si7 Si 0.833 0.485 0.650
Si8 Si 0.835 0.155 0.989
Si9 Si 0.838 0.818 0.320
S1 S 0.030 0.624 0.819
S2 S 0.032 0.287 0.152
S3 S 0.033 0.953 0.487
S4 S 0.037 0.319 0.822
S5 S 0.332 0.320 0.322
S6 S 0.333 0.621 0.318
S7 S 0.337 0.957 0.985
S8 S 0.339 0.290 0.653
S9 S 0.378 0.975 0.321
S10 S 0.385 0.306 0.984
S11 S 0.385 0.638 0.655
S12 S 0.488 0.472 0.819
S13 S 0.489 0.808 0.485
S14 S 0.490 0.139 0.151
S15 S 0.531 0.122 0.820
S16 S 0.534 0.451 0.487
S17 S 0.535 0.787 0.154
S18 S 0.536 0.819 0.820
S19 S 0.838 0.454 0.985
S20 S 0.839 0.789 0.653
S21 S 0.842 0.124 0.317
S22 S 0.885 0.138 0.655
S23 S 0.888 0.471 0.321
S24 S 0.890 0.807 0.986
S25 S 0.986 0.641 0.152
S26 S 0.987 0.972 0.819
S27 S 0.988 0.308 0.484
O1 O 0.000 0.789 0.651
O2 O 0.003 0.125 0.316
O3 O 0.008 0.484 0.656
O4 O 0.010 0.143 0.990
O5 O 0.016 0.813 0.321
O6 O 0.062 0.035 0.095
O7 O 0.064 0.574 0.871
O8 O 0.067 0.705 0.431
O9 O 0.067 0.902 0.538
O10 O 0.075 0.050 0.820
O11 O 0.075 0.233 0.199
O12 O 0.077 0.718 0.151
O13 O 0.081 0.369 0.774
O14 O 0.081 0.900 0.823
O15 O 0.082 0.569 0.158
O16 O 0.083 0.383 0.481
O17 O 0.084 0.235 0.490
O18 O 0.084 0.372 0.159
O19 O 0.086 0.581 0.769
O20 O 0.087 0.359 0.876
O21 O 0.088 0.253 0.098
O22 O 0.089 0.696 0.546
O23 O 0.090 0.033 0.209
O24 O 0.093 0.037 0.493
O25 O 0.093 0.707 0.823
O26 O 0.094 0.556 0.485
O27 O 0.095 0.889 0.151
O28 O 0.097 0.915 0.437
O29 O 0.104 0.235 0.820
O30 O 0.249 0.895 0.650
O31 O 0.253 0.558 0.984
O32 O 0.256 0.038 0.702
O33 O 0.265 0.236 0.319
O34 O 0.266 0.703 0.323
O35 O 0.268 0.692 0.047
O36 O 0.271 0.919 0.936
O37 O 0.276 0.581 0.267
O38 O 0.279 0.043 0.991
O39 O 0.279 0.256 0.601
O40 O 0.280 0.706 0.935
O41 O 0.281 0.359 0.376
O42 O 0.281 0.903 0.324
O43 O 0.283 0.709 0.653
O44 O 0.284 0.051 0.319
O45 O 0.287 0.379 0.979
O46 O 0.290 0.370 0.274
O47 O 0.292 0.376 0.660
O48 O 0.297 0.230 0.991
O49 O 0.297 0.237 0.702
O50 O 0.298 0.570 0.368
O51 O 0.299 0.560 0.660
O52 O 0.303 0.035 0.592
O53 O 0.307 0.908 0.037
O54 O 0.353 0.145 0.488
O55 O 0.354 0.484 0.156
O56 O 0.371 0.129 0.818
O57 O 0.374 0.451 0.481
O58 O 0.375 0.789 0.150
O59 O 0.378 0.812 0.821
O60 O 0.389 0.147 0.199
O61 O 0.394 0.477 0.870
O62 O 0.396 0.818 0.536
O63 O 0.399 0.467 0.767
O64 O 0.401 0.801 0.435
O65 O 0.410 0.135 0.097
O66 O 0.466 0.982 0.374
O67 O 0.468 0.971 0.271
O68 O 0.472 0.632 0.604
O69 O 0.475 0.297 0.934
O70 O 0.476 0.321 0.035
O71 O 0.476 0.649 0.706
O72 O 0.490 0.313 0.323
O73 O 0.492 0.629 0.317
O74 O 0.496 0.966 0.980
O75 O 0.500 0.290 0.651
O76 O 0.506 0.636 0.986
O77 O 0.508 0.984 0.656
O78 O 0.560 0.533 0.091
O79 O 0.563 0.402 0.540
O80 O 0.566 0.073 0.872
O81 O 0.568 0.217 0.440
O82 O 0.568 0.736 0.204
O83 O 0.576 0.550 0.818
O84 O 0.576 0.866 0.769
O85 O 0.579 0.885 0.483
O86 O 0.581 0.065 0.157
O87 O 0.582 0.400 0.822
O88 O 0.585 0.080 0.770
O89 O 0.585 0.737 0.491
O90 O 0.586 0.192 0.551
O91 O 0.586 0.213 0.152
O92 O 0.589 0.536 0.493
O93 O 0.590 0.863 0.871
O94 O 0.593 0.872 0.160
O95 O 0.594 0.206 0.824
O96 O 0.595 0.540 0.203
O97 O 0.596 0.058 0.484
O98 O 0.599 0.750 0.104
O99 O 0.602 0.392 0.151
O100 O 0.603 0.412 0.439
O101 O 0.603 0.736 0.818
O102 O 0.749 0.395 0.650
O103 O 0.756 0.538 0.702
O104 O 0.760 0.061 0.981
O105 O 0.763 0.192 0.047
O106 O 0.766 0.418 0.936
O107 O 0.774 0.723 0.319
O108 O 0.778 0.755 0.601
O109 O 0.781 0.867 0.378
O110 O 0.784 0.209 0.653
O111 O 0.786 0.086 0.265
O112 O 0.786 0.207 0.324
O113 O 0.791 0.401 0.324
O114 O 0.791 0.540 0.993
O115 O 0.793 0.876 0.660
O116 O 0.796 0.881 0.981
O117 O 0.798 0.737 0.702
O118 O 0.800 0.061 0.660
O119 O 0.800 0.217 0.938
O120 O 0.803 0.535 0.591
O121 O 0.804 0.872 0.264
O122 O 0.805 0.070 0.366
O123 O 0.805 0.730 0.992
O124 O 0.806 0.551 0.318
O125 O 0.809 0.402 0.036
O126 O 0.852 0.645 0.487
O127 O 0.852 0.977 0.155
O128 O 0.871 0.630 0.817
O129 O 0.872 0.285 0.151
O130 O 0.874 0.955 0.483
O131 O 0.879 0.312 0.822
O132 O 0.890 0.650 0.202
O133 O 0.892 0.977 0.870
O134 O 0.898 0.320 0.535
O135 O 0.899 0.300 0.434
O136 O 0.900 0.968 0.768
O137 O 0.903 0.634 0.099
O138 O 0.972 0.132 0.604
O139 O 0.978 0.149 0.706
O140 O 0.979 0.479 0.373
O141 O 0.979 0.820 0.038
O142 O 0.981 0.465 0.271
O143 O 0.983 0.799 0.937
O144 O 0.998 0.454 0.978



Record 5
# CeNd3C8 | the Materials Project database | PBE | relaxed
# Spin magnetization   0.56 μB/f.u.
# Calculated volume   190.23 Å³ per cell
# Raw total energy   -95.6 eV/cell
data_CeNd3C8
_chemical_formula_sum 'Ce1 Nd3 C8'
_space_group_name_H-M_alt 'P 4/m m m'
_space_group_IT_number 123
_space_group_name_Hall '-P 4 2'
_cell_length_a 3.847
_cell_length_b 3.847
_cell_length_c 12.857
_cell_angle_alpha 90.00
_cell_angle_beta 90.00
_cell_angle_gamma 90.00
loop_
_atom_site_label
_atom_site_type_symbol
_atom_site_fract_x
_atom_site_fract_y
_atom_site_fract_z
Ce1 Ce 0.000 0.000 0.000
Nd1 Nd 0.000 0.000 0.500
Nd2 Nd 0.500 0.500 0.249
C1 C 0.000 0.000 0.199
C2 C 0.000 0.000 0.300
C3 C 0.500 0.500 0.051
C4 C 0.500 0.500 0.450



> Look up the calculated volume of the fourth one.

3607.82 Å³ per cell